Density functional theory data (PBE) for a relaxed TbCo6Ge6 crystal.

a b c (Å): 5.0989 5.0989 7.8783
angles (deg): 90.00 90.00 120.00
Closest atoms and distances in Å follow each position.
Space group P6/mmm (No. 191)
One atom of each set of equivalent atoms:
1 Tb 0.0000 0.0000 0.0000 [1 per cell]  8 Ge 2.72-2.94
2 Co 0.0000 0.5000 0.2509 [6 per cell]  6 Ge 2.45-2.65, 4 Co 2.55
3 Ge 0.0000 0.0000 0.3449 [2 per cell]  1 Ge 2.44, 6 Co 2.65, 1 Tb 2.72
4 Ge 0.3333 0.6667 0.0000 [2 per cell]  6 Co 2.46
5 Ge 0.3333 0.6667 0.5000 [2 per cell]  6 Co 2.45

Properties
The calculation puts the formation energy at -0.34 eV/atom. As for the final energy: -6.114 eV/atom.